VASP calculation (r2SCAN) on a relaxed TbLuIr2 crystal.

abc: 4.777 4.777 4.777
angles: 60.00 60.00 60.00
Sites, in units of the cell vectors:
Tb1 0.000 0.000 0.000
Lu1 0.500 0.500 0.500
Ir1 0.250 0.250 0.250
Ir2 0.750 0.750 0.750

Properties
Symmetry   Fm-3m (225)
Total magnetic moment   0.2 μB/cell
Theoretical density   15.5 g/cm³
Final energy   -44.5035 eV/atom


VASP calculation (r2SCAN) on a relaxed Lu2ZnIr crystal.

abc: 4.778 4.778 4.778
angles: 60.00 60.00 60.00
Sites, in units of the cell vectors:
Lu1 0.000 0.000 0.000
Lu2 0.500 0.500 0.500
Zn1 0.750 0.750 0.750
Ir1 0.250 0.250 0.250

Properties
Symmetry   Fm-3m (225)
Total magnetic moment   0.0 μB/cell
Theoretical density   13.1 g/cm³
Final energy   -35.1542 eV/atom


VASP calculation (r2SCAN) on a relaxed Mg13Ir3 crystal.

abc: 9.639 9.639 9.639
angles: 111.91 111.91 111.91
Sites, in units of the cell vectors:
Mg1 0.000 0.500 0.000
Mg2 0.500 0.000 0.000
Mg3 0.000 0.000 0.500
Mg4 0.500 0.000 0.500
Mg5 0.000 0.500 0.500
Mg6 0.500 0.500 0.000
Mg7 0.881 0.619 0.250
Mg8 0.250 0.881 0.619
Mg9 0.619 0.250 0.881
Mg10 0.119 0.381 0.750
Mg11 0.750 0.119 0.381
Mg12 0.381 0.750 0.119
Mg13 0.250 0.250 0.250
Mg14 0.750 0.750 0.750
Mg15 0.403 0.610 0.722
Mg16 0.722 0.403 0.610
Mg17 0.610 0.722 0.403
Mg18 0.890 0.097 0.778
Mg19 0.778 0.890 0.097
Mg20 0.097 0.778 0.890
Mg21 0.597 0.390 0.278
Mg22 0.278 0.597 0.390
Mg23 0.390 0.278 0.597
Mg24 0.110 0.903 0.222
Mg25 0.222 0.110 0.903
Mg26 0.903 0.222 0.110
Ir1 0.922 0.750 0.578
Ir2 0.750 0.578 0.922
Ir3 0.578 0.922 0.750
Ir4 0.078 0.250 0.422
Ir5 0.250 0.422 0.078
Ir6 0.422 0.078 0.250

Properties
Symmetry   R-3c (167)
Total magnetic moment   0.0 μB/cell
Theoretical density   4.8 g/cm³
Final energy   -13.4712 eV/atom


VASP calculation (r2SCAN) on a relaxed Mg4IrN4 crystal.

abc: 5.334 5.361 8.530
angles: 67.89 80.16 69.81
Sites, in units of the cell vectors:
Mg1 0.736 0.620 0.220
Mg2 0.264 0.380 0.780
Mg3 0.732 0.263 0.001
Mg4 0.268 0.737 0.999
Mg5 0.736 0.469 0.584
Mg6 0.264 0.531 0.416
Mg7 0.252 0.942 0.584
Mg8 0.748 0.058 0.416
Ir1 0.746 0.843 0.794
Ir2 0.254 0.157 0.206
N1 0.981 0.689 0.607
N2 0.019 0.311 0.393
N3 0.848 0.853 0.984
N4 0.152 0.147 0.016
N5 0.506 0.606 0.794
N6 0.494 0.394 0.206
N7 0.504 0.824 0.383
N8 0.496 0.176 0.617

Properties
Symmetry   P-1 (2)
Total magnetic moment   0.0 μB/cell
Theoretical density   5.4 g/cm³
Final energy   -12.1692 eV/atom


VASP calculation (r2SCAN) on a relaxed Pr4MgIr crystal.

abc: 10.090 10.090 10.090
angles: 60.00 60.00 60.00
Sites, in units of the cell vectors:
Pr1 0.346 0.346 0.346
Pr2 0.346 0.346 0.963
Pr3 0.346 0.963 0.346
Pr4 0.963 0.346 0.346
Pr5 0.811 0.189 0.189
Pr6 0.189 0.811 0.811
Pr7 0.189 0.811 0.189
Pr8 0.811 0.189 0.811
Pr9 0.189 0.189 0.811
Pr10 0.811 0.811 0.189
Pr11 0.939 0.561 0.561
Pr12 0.561 0.939 0.939
Pr13 0.561 0.939 0.561
Pr14 0.939 0.561 0.939
Pr15 0.561 0.561 0.939
Pr16 0.939 0.939 0.561
Mg1 0.579 0.579 0.579
Mg2 0.579 0.579 0.264
Mg3 0.579 0.264 0.579
Mg4 0.264 0.579 0.579
Ir1 0.141 0.141 0.141
Ir2 0.141 0.141 0.576
Ir3 0.141 0.576 0.141
Ir4 0.576 0.141 0.141

Properties
Symmetry   F-43m (216)
Total magnetic moment   0.0 μB/cell
Theoretical density   7.1 g/cm³
Final energy   -29.4095 eV/atom


VASP calculation (r2SCAN) on a relaxed MgSi7Ir3 crystal.

abc: 7.928 7.928 7.928
angles: 56.79 56.79 56.79
Sites, in units of the cell vectors:
Mg1 0.500 0.500 0.500
Mg2 0.000 0.000 0.000
Si1 0.851 0.063 0.674
Si2 0.674 0.851 0.063
Si3 0.063 0.674 0.851
Si4 0.649 0.826 0.437
Si5 0.250 0.250 0.250
Si6 0.750 0.750 0.750
Si7 0.174 0.563 0.351
Si8 0.563 0.351 0.174
Si9 0.351 0.174 0.563
Si10 0.937 0.326 0.149
Si11 0.326 0.149 0.937
Si12 0.149 0.937 0.326
Si13 0.826 0.437 0.649
Si14 0.437 0.649 0.826
Ir1 0.750 0.074 0.426
Ir2 0.426 0.750 0.074
Ir3 0.074 0.426 0.750
Ir4 0.250 0.926 0.574
Ir5 0.574 0.250 0.926
Ir6 0.926 0.574 0.250

Properties
Symmetry   R-3c (167)
Total magnetic moment   0.0 μB/cell
Theoretical density   8.1 g/cm³
Final energy   -20.7755 eV/atom


VASP calculation (r2SCAN) on a relaxed Sm4MgIr crystal.

abc: 9.882 9.882 9.882
angles: 60.00 60.00 60.00
Sites, in units of the cell vectors:
Sm1 0.596 0.596 0.596
Sm2 0.596 0.596 0.212
Sm3 0.596 0.212 0.596
Sm4 0.212 0.596 0.596
Sm5 0.062 0.438 0.438
Sm6 0.438 0.062 0.062
Sm7 0.438 0.062 0.438
Sm8 0.062 0.438 0.062
Sm9 0.438 0.438 0.062
Sm10 0.062 0.062 0.438
Sm11 0.188 0.812 0.812
Sm12 0.812 0.188 0.188
Sm13 0.812 0.188 0.812
Sm14 0.188 0.812 0.188
Sm15 0.812 0.812 0.188
Sm16 0.188 0.188 0.812
Mg1 0.829 0.829 0.829
Mg2 0.829 0.829 0.514
Mg3 0.829 0.514 0.829
Mg4 0.514 0.829 0.829
Ir1 0.391 0.391 0.391
Ir2 0.391 0.391 0.826
Ir3 0.391 0.826 0.391
Ir4 0.826 0.391 0.391

Properties
Symmetry   F-43m (216)
Total magnetic moment   0.0 μB/cell
Theoretical density   8.0 g/cm³
Final energy   -29.6840 eV/atom


VASP calculation (r2SCAN) on a relaxed MgTaIr2 crystal.

abc: 4.444 4.444 4.444
angles: 60.00 60.00 60.00
Sites, in units of the cell vectors:
Mg1 0.250 0.250 0.250
Ta1 0.750 0.750 0.750
Ir1 0.000 0.000 0.000
Ir2 0.500 0.500 0.500

Properties
Symmetry   Fm-3m (225)
Total magnetic moment   0.0 μB/cell
Theoretical density   15.8 g/cm³
Final energy   -39.9869 eV/atom


The records above give, respectively, ΔH_f (0 K) values of -0.997, -0.797, -0.266, -0.441, -0.385, -0.533, -0.441, -0.617 eV per atom.